Entry 1:
Here is a relaxed structure of Sr13Al6Si8O from the Materials Project. Energies are from PBE.

Summary:
The value obtained for the volume is 794.8 Å³/cell. The total energy comes out at -3.873 eV per atom. For the energy relative to the elements, the calculation gives -0.584 eV/atom.

Cell: 11.7016 11.7016 17.5606 Å, 124.37 124.37 23.87°
Sites, in units of the cell vectors:
Sr: 0.0000 0.0000 0.0000
Sr: 0.3061 0.3061 0.3530
Sr: 0.3065 0.3065 0.1089
Sr: 0.3152 0.3152 0.6086
Sr: 0.3454 0.3454 0.8829
Sr: 0.4977 0.4977 0.1409
Sr: 0.4985 0.4985 0.3794
Sr: 0.5015 0.5015 0.6206
Sr: 0.5023 0.5023 0.8591
Sr: 0.6546 0.6546 0.1171
Sr: 0.6848 0.6848 0.3914
Sr: 0.6935 0.6935 0.8911
Sr: 0.6939 0.6939 0.6470
Al: 0.0661 0.0661 0.3091
Al: 0.0693 0.0693 0.5525
Al: 0.0725 0.0725 0.7949
Al: 0.9275 0.9275 0.2051
Al: 0.9307 0.9307 0.4475
Al: 0.9339 0.9339 0.6909
Si: 0.1307 0.1307 0.2339
Si: 0.1329 0.1329 0.9658
Si: 0.1391 0.1391 0.4838
Si: 0.1448 0.1448 0.7286
Si: 0.8552 0.8552 0.2714
Si: 0.8609 0.8609 0.5162
Si: 0.8671 0.8671 0.0342
Si: 0.8693 0.8693 0.7661
O: 0.5000 0.5000 0.0000

=====

Entry 2:
Here is a relaxed structure of Ba4La2Cu6O13 from the Materials Project. Energies are from PBE.

Summary:
The value obtained for the volume is 377.6 Å³/cell. The total energy comes out at -6.100 eV per atom. For the energy relative to the elements, the calculation gives -2.199 eV/atom.

Cell: 12.6728 12.6488 5.6041 Å, 77.45 76.97 25.57°
Sites, in units of the cell vectors:
Ba: 0.1495 0.6622 0.8505
Ba: 0.3378 0.8505 0.6622
Ba: 0.6622 0.1495 0.3378
Ba: 0.8505 0.3378 0.1495
La: 0.0000 0.5000 0.0000
La: 0.5000 0.0000 0.5000
Cu: 0.0754 0.5726 0.4274
Cu: 0.2369 0.7631 0.2369
Cu: 0.4274 0.9246 0.0754
Cu: 0.5726 0.0754 0.9246
Cu: 0.7631 0.2369 0.7631
Cu: 0.9246 0.4274 0.5726
O: 0.0000 0.0000 0.0000
O: 0.1833 0.1833 0.8167
O: 0.1845 0.1845 0.3155
O: 0.1936 0.6558 0.3442
O: 0.3155 0.3155 0.1845
O: 0.3152 0.3152 0.6848
O: 0.3442 0.8064 0.1936
O: 0.6558 0.1936 0.8064
O: 0.6848 0.6848 0.3152
O: 0.6845 0.6845 0.8155
O: 0.8064 0.3442 0.6558
O: 0.8155 0.8155 0.6845
O: 0.8167 0.8167 0.1833

=====

Entry 3:
Here is a relaxed structure of Hf8PbO24 from the Materials Project. Energies are from PBE.

Summary:
The value obtained for the volume is 566.7 Å³/cell. The total energy comes out at -8.239 eV per atom. For the energy relative to the elements, the calculation gives -2.614 eV/atom.

Cell: 9.2511 9.2511 9.2405 Å, 113.40 113.40 53.10°
Sites, in units of the cell vectors:
Hf: 0.0549 0.5635 0.2460
Hf: 0.1816 0.6908 0.7542
Hf: 0.3092 0.8184 0.2458
Hf: 0.4365 0.9451 0.7540
Hf: 0.5635 0.0549 0.2460
Hf: 0.6908 0.1816 0.7542
Hf: 0.8184 0.3092 0.2458
Hf: 0.9451 0.4365 0.7540
Pb: 0.5000 0.5000 0.5000
O: 0.0000 0.5000 0.0000
O: 0.0619 0.0619 0.2512
O: 0.0618 0.5619 0.7475
O: 0.1438 0.6194 0.5001
O: 0.1860 0.1860 0.7478
O: 0.2032 0.6781 0.2627
O: 0.2518 0.7482 0.0000
O: 0.3219 0.3219 0.2618
O: 0.3219 0.7968 0.7373
O: 0.3806 0.8562 0.4999
O: 0.4381 0.9382 0.2525
O: 0.4408 0.4408 0.7371
O: 0.5000 0.0000 0.0000
O: 0.5592 0.5592 0.2629
O: 0.5619 0.0618 0.7475
O: 0.6194 0.1438 0.5001
O: 0.6781 0.2032 0.2627
O: 0.6781 0.6781 0.7382
O: 0.7482 0.2518 0.0000
O: 0.7968 0.3219 0.7373
O: 0.8140 0.8140 0.2522
O: 0.8562 0.3806 0.4999
O: 0.9382 0.4381 0.2525
O: 0.9381 0.9381 0.7488

=====

Entry 4:
Here is a relaxed structure of K2SeO4 from the Materials Project. Energies are from PBE.

Summary:
The value obtained for the volume is 512.8 Å³/cell. The total energy comes out at -5.060 eV per atom. For the energy relative to the elements, the calculation gives -1.809 eV/atom.

Cell: 7.8229 6.1689 10.6267 Å, 90.00 90.00 90.00°
Sites, in units of the cell vectors:
K: 0.0079 0.2500 0.2069
K: 0.1723 0.2500 0.5736
K: 0.3277 0.7500 0.0736
K: 0.4921 0.7500 0.7069
K: 0.5079 0.2500 0.2931
K: 0.6723 0.2500 0.9264
K: 0.8277 0.7500 0.4264
K: 0.9921 0.7500 0.7931
Se: 0.2192 0.2500 0.9130
Se: 0.2808 0.7500 0.4130
Se: 0.7192 0.2500 0.5870
Se: 0.7808 0.7500 0.0870
O: 0.0093 0.2500 0.9393
O: 0.1731 0.7500 0.5505
O: 0.2253 0.5278 0.3314
O: 0.2253 0.9722 0.3314
O: 0.2747 0.0278 0.8314
O: 0.2747 0.4722 0.8314
O: 0.3269 0.2500 0.0505
O: 0.4907 0.7500 0.4393
O: 0.5093 0.2500 0.5607
O: 0.6731 0.7500 0.9495
O: 0.7253 0.5278 0.1686
O: 0.7253 0.9722 0.1686
O: 0.7747 0.0278 0.6686
O: 0.7747 0.4722 0.6686
O: 0.8269 0.2500 0.4495
O: 0.9907 0.7500 0.0607